1.
## SrSO4 (PBE-GGA)

Data for crystalline SrSO4 at its relaxed geometry.

Cell lengths 5.1075, 5.1075, 5.1075 Å; angles 60.00, 60.00, 60.00 degrees
Fractional coordinates of all 6 atoms:
1 Sr 0.0000 0.0000 0.0000
2 S 0.5000 0.5000 0.5000
3 O 0.3811 0.3811 0.3811
4 O 0.3811 0.3811 0.8568
5 O 0.3811 0.8568 0.3811
6 O 0.8568 0.3811 0.3811

Volume = 15.7 Å³ per atom
Raw total energy = -37.67 eV for the cell shown
Calculated formation energy = -2.466 eV/atom

---

2.
## CaEr4Zr4O14 (PBE-GGA)

Data for crystalline CaEr4Zr4O14 at its relaxed geometry.

Cell lengths 3.4899, 7.9848, 11.2886 Å; angles 90.00, 90.00, 90.00 degrees
Fractional coordinates of all 23 atoms:
1 Ca 0.0000 0.0000 0.0000
2 Er 0.0000 0.0000 0.2746
3 Er 0.0000 0.5000 0.8176
4 Er 0.5000 0.2539 0.5328
5 Er 0.5000 0.7461 0.5328
6 Zr 0.0000 0.0000 0.7292
7 Zr 0.0000 0.5000 0.3025
8 Zr 0.5000 0.3211 0.0651
9 Zr 0.5000 0.6789 0.0651
10 O 0.0000 0.1969 0.4201
11 O 0.0000 0.2643 0.9544
12 O 0.0000 0.2702 0.1905
13 O 0.0000 0.2713 0.6776
14 O 0.0000 0.7287 0.6776
15 O 0.0000 0.7298 0.1905
16 O 0.0000 0.7357 0.9544
17 O 0.0000 0.8031 0.4201
18 O 0.5000 0.0000 0.1466
19 O 0.5000 0.0000 0.6085
20 O 0.5000 0.0000 0.8400
21 O 0.5000 0.5000 0.2105
22 O 0.5000 0.5000 0.4393
23 O 0.5000 0.5000 0.9158

Volume = 13.7 Å³ per atom
Raw total energy = -195.46 eV for the cell shown
Calculated formation energy = -3.537 eV/atom

---

3.
## U6Co30Si19 (PBE-GGA)

Data for crystalline U6Co30Si19 at its relaxed geometry.

Cell lengths 20.9504, 20.9504, 3.6439 Å; angles 90.00, 90.00, 120.00 degrees
Fractional coordinates of all 110 atoms:
1 U 0.0371 0.2622 0.2500
2 U 0.1337 0.6153 0.2500
3 U 0.2251 0.9629 0.2500
4 U 0.2622 0.2251 0.7500
5 U 0.3847 0.5184 0.2500
6 U 0.4816 0.8663 0.2500
7 U 0.5184 0.1337 0.7500
8 U 0.6153 0.4816 0.7500
9 U 0.7378 0.7749 0.2500
10 U 0.7749 0.0371 0.7500
11 U 0.8663 0.3847 0.7500
12 U 0.9629 0.7378 0.7500
13 Co 0.0041 0.3563 0.7500
14 Co 0.0123 0.0864 0.2500
15 Co 0.0422 0.4932 0.7500
16 Co 0.0520 0.8555 0.2500
17 Co 0.0741 0.9877 0.2500
18 Co 0.0864 0.0741 0.7500
19 Co 0.1010 0.7065 0.7500
20 Co 0.1053 0.4455 0.2500
21 Co 0.1379 0.8441 0.7500
22 Co 0.1445 0.1965 0.2500
23 Co 0.1559 0.2939 0.7500
24 Co 0.1965 0.0520 0.7500
25 Co 0.2017 0.7954 0.2500
26 Co 0.2046 0.4062 0.2500
27 Co 0.2445 0.5464 0.2500
28 Co 0.2535 0.6461 0.7500
29 Co 0.2935 0.3945 0.7500
30 Co 0.2939 0.1379 0.2500
31 Co 0.3018 0.7555 0.2500
32 Co 0.3402 0.8947 0.2500
33 Co 0.3522 0.9959 0.7500
34 Co 0.3539 0.6074 0.7500
35 Co 0.3563 0.3522 0.2500
36 Co 0.3926 0.7465 0.7500
37 Co 0.3945 0.1010 0.2500
38 Co 0.4062 0.2017 0.7500
39 Co 0.4455 0.3402 0.7500
40 Co 0.4511 0.9578 0.7500
41 Co 0.4536 0.6982 0.2500
42 Co 0.4932 0.4511 0.2500
43 Co 0.5068 0.5489 0.7500
44 Co 0.5464 0.3018 0.7500
45 Co 0.5489 0.0422 0.2500
46 Co 0.5545 0.6598 0.2500
47 Co 0.5938 0.7983 0.2500
48 Co 0.6055 0.8990 0.7500
49 Co 0.6074 0.2535 0.2500
50 Co 0.6437 0.6478 0.7500
51 Co 0.6461 0.3926 0.2500
52 Co 0.6478 0.0041 0.2500
53 Co 0.6598 0.1053 0.7500
54 Co 0.6982 0.2445 0.7500
55 Co 0.7061 0.8621 0.7500
56 Co 0.7065 0.6055 0.2500
57 Co 0.7465 0.3539 0.2500
58 Co 0.7555 0.4536 0.7500
59 Co 0.7954 0.5938 0.7500
60 Co 0.7983 0.2046 0.7500
61 Co 0.8035 0.9480 0.2500
62 Co 0.8441 0.7061 0.2500
63 Co 0.8555 0.8035 0.7500
64 Co 0.8621 0.1559 0.2500
65 Co 0.8947 0.5545 0.7500
66 Co 0.8990 0.2935 0.2500
67 Co 0.9136 0.9259 0.2500
68 Co 0.9259 0.0123 0.7500
69 Co 0.9480 0.1445 0.7500
70 Co 0.9578 0.5068 0.2500
71 Co 0.9877 0.9136 0.7500
72 Co 0.9959 0.6437 0.2500
73 Si 0.0134 0.5851 0.7500
74 Si 0.0673 0.1706 0.7500
75 Si 0.0826 0.7648 0.2500
76 Si 0.1032 0.9327 0.7500
77 Si 0.1242 0.3846 0.7500
78 Si 0.1640 0.5248 0.7500
79 Si 0.1706 0.1032 0.2500
80 Si 0.2220 0.7363 0.7500
81 Si 0.2352 0.3178 0.2500
82 Si 0.2603 0.8758 0.7500
83 Si 0.2637 0.4857 0.7500
84 Si 0.3178 0.0826 0.7500
85 Si 0.3333 0.6667 0.2500
86 Si 0.3607 0.8360 0.7500
87 Si 0.3846 0.2603 0.2500
88 Si 0.4149 0.4283 0.7500
89 Si 0.4283 0.0134 0.2500
90 Si 0.4752 0.6393 0.7500
91 Si 0.4857 0.2220 0.2500
92 Si 0.5143 0.7780 0.7500
93 Si 0.5248 0.3607 0.2500
94 Si 0.5717 0.9866 0.7500
95 Si 0.5851 0.5717 0.2500
96 Si 0.6154 0.7397 0.7500
97 Si 0.6393 0.1640 0.2500
98 Si 0.6667 0.3333 0.7500
99 Si 0.6822 0.9174 0.2500
100 Si 0.7363 0.5143 0.2500
101 Si 0.7397 0.1242 0.2500
102 Si 0.7648 0.6822 0.7500
103 Si 0.7780 0.2637 0.2500
104 Si 0.8294 0.8968 0.7500
105 Si 0.8360 0.4752 0.2500
106 Si 0.8758 0.6154 0.2500
107 Si 0.8968 0.0673 0.2500
108 Si 0.9174 0.2352 0.7500
109 Si 0.9327 0.8294 0.2500
110 Si 0.9866 0.4149 0.2500

Volume = 12.6 Å³ per atom
Raw total energy = -827.32 eV for the cell shown
Calculated formation energy = -0.513 eV/atom

---

4.
## Ba2ErGaSe5 (PBE-GGA)

Data for crystalline Ba2ErGaSe5 at its relaxed geometry.

Cell lengths 7.3939, 8.7488, 9.5171 Å; angles 103.46, 103.16, 107.33 degrees
Fractional coordinates of all 18 atoms:
1 Ba 0.1331 0.4778 0.2880
2 Ba 0.1557 0.9886 0.2921
3 Ba 0.8443 0.0114 0.7079
4 Ba 0.8669 0.5222 0.7120
5 Er 0.4981 0.2300 0.9986
6 Er 0.5019 0.7700 0.0014
7 Ga 0.3063 0.3723 0.6884
8 Ga 0.6937 0.6277 0.3116
9 Se 0.0114 0.7580 0.5075
10 Se 0.2084 0.9122 0.9454
11 Se 0.2153 0.4098 0.9289
12 Se 0.4841 0.6553 0.6889
13 Se 0.4877 0.1819 0.6871
14 Se 0.5123 0.8181 0.3129
15 Se 0.5159 0.3447 0.3111
16 Se 0.7847 0.5902 0.0711
17 Se 0.7916 0.0878 0.0546
18 Se 0.9886 0.2420 0.4925

Volume = 30.1 Å³ per atom
Raw total energy = -87.38 eV for the cell shown
Calculated formation energy = -1.904 eV/atom

---

5.
## Sr28In11 (PBE-GGA)

Data for crystalline Sr28In11 at its relaxed geometry.

Cell lengths 33.9947, 33.9947, 33.9947 Å; angles 170.12, 17.20, 165.96 degrees
Fractional coordinates of all 39 atoms:
1 Sr 0.0226 0.0226 0.0000
2 Sr 0.0311 0.1777 0.8534
3 Sr 0.0431 0.5867 0.4563
4 Sr 0.0544 0.3780 0.6763
5 Sr 0.0541 0.4370 0.6171
6 Sr 0.1304 0.5867 0.5437
7 Sr 0.1575 0.0744 0.0831
8 Sr 0.1991 0.4615 0.7376
9 Sr 0.2697 0.9941 0.2756
10 Sr 0.3242 0.1777 0.1466
11 Sr 0.3472 0.1409 0.2063
12 Sr 0.3632 0.0000 0.3632
13 Sr 0.3788 0.5609 0.8180
14 Sr 0.3897 0.4198 0.9699
15 Sr 0.4499 0.4198 0.0301
16 Sr 0.4532 0.5492 0.9040
17 Sr 0.5749 0.1346 0.4403
18 Sr 0.6368 0.0000 0.6368
19 Sr 0.6452 0.5492 0.0960
20 Sr 0.6943 0.1346 0.5597
21 Sr 0.7017 0.3780 0.3237
22 Sr 0.7060 0.2060 0.5000
23 Sr 0.7186 0.9941 0.7244
24 Sr 0.7240 0.4615 0.2624
25 Sr 0.7429 0.5609 0.1820
26 Sr 0.8200 0.4370 0.3829
27 Sr 0.9346 0.1409 0.7937
28 Sr 0.9913 0.0744 0.9169
29 In 0.1047 0.7848 0.3199
30 In 0.2096 0.8004 0.4092
31 In 0.2981 0.7981 0.5000
32 In 0.3913 0.8004 0.5908
33 In 0.4649 0.7848 0.6801
34 In 0.5305 0.7573 0.7732
35 In 0.6342 0.7733 0.8609
36 In 0.7733 0.8165 0.9568
37 In 0.8598 0.8165 0.0432
38 In 0.9124 0.7733 0.1391
39 In 0.9841 0.7573 0.2268

Volume = 41.9 Å³ per atom
Raw total energy = -88.77 eV for the cell shown
Calculated formation energy = -0.287 eV/atom

---

6.
## LiNdIn2 (PBE-GGA)

Data for crystalline LiNdIn2 at its relaxed geometry.

Cell lengths 5.2408, 5.2408, 5.2408 Å; angles 60.00, 60.00, 60.00 degrees
Fractional coordinates of all 4 atoms:
1 Li 0.0000 0.0000 0.0000
2 Nd 0.5000 0.5000 0.5000
3 In 0.2500 0.2500 0.2500
4 In 0.7500 0.7500 0.7500

Volume = 25.4 Å³ per atom
Raw total energy = -13.73 eV for the cell shown
Calculated formation energy = -0.388 eV/atom